1.
The following is a DFT calculation (meta-GGA r2SCAN) of a geometry-optimized K11Cd2Sb5 structure.

- Total moment: 0.00 μB/atom
- DFT formation energy: -0.57 eV/atom

Lattice parameters (Å, degrees): 9.9708 12.0580 12.8908 103.56 97.18 107.60
Fractional coordinates of all 36 atoms:
K 0.1420 0.4258 0.0371
K 0.9498 0.2938 0.7306
K 0.3666 0.8338 0.4692
Sb 0.3388 0.5438 0.3080
K 0.3048 0.8940 0.7763
K 0.2034 0.5577 0.5711
K 0.6349 0.6739 0.5604
K 0.6074 0.7524 0.8593
K 0.6952 0.1060 0.2237
Sb 0.6612 0.4562 0.6920
Sb 0.0014 0.7652 0.5551
K 0.4135 0.7728 0.1360
Sb 0.8104 0.3688 0.1349
Sb 0.8080 0.8524 0.1345
Sb 0.1896 0.6312 0.8651
K 0.7973 0.9211 0.4296
K 0.6501 0.5880 0.2097
K 0.1238 0.9050 0.0169
K 0.3499 0.4120 0.7903
K 0.3651 0.3261 0.4396
Cd 0.0537 0.0414 0.2814
K 0.8762 0.0950 0.9831
K 0.7966 0.4423 0.4289
Cd 0.0538 0.3757 0.2850
Cd 0.9463 0.9586 0.7186
K 0.8580 0.5742 0.9629
Cd 0.9462 0.6243 0.7150
Sb 0.9986 0.2348 0.4449
K 0.6334 0.1662 0.5308
Sb 0.3368 0.0267 0.3002
K 0.2027 0.0789 0.5704
Sb 0.6632 0.9733 0.6998
Sb 0.1920 0.1476 0.8655
K 0.3926 0.2476 0.1407
K 0.5865 0.2272 0.8640
K 0.0502 0.7062 0.2694

=====

2.
The following is a DFT calculation (meta-GGA r2SCAN) of a geometry-optimized LaCd11 structure.

- Total moment: 0.00 μB/atom
- DFT formation energy: -0.21 eV/atom

Lattice parameters (Å, degrees): 9.3801 9.3801 9.3801 90.00 90.00 90.00
Fractional coordinates of all 36 atoms:
La 0.5000 0.0000 0.0000
Cd 0.8425 0.1575 0.1575
Cd 0.7333 0.7333 0.5000
Cd 0.6546 0.6546 0.0000
Cd 0.5000 0.7333 0.7333
Cd 0.1575 0.1575 0.8425
Cd 0.7333 0.5000 0.2667
Cd 0.3454 0.0000 0.3454
Cd 0.7333 0.5000 0.7333
Cd 0.3454 0.3454 0.0000
Cd 0.0000 0.6546 0.3454
Cd 0.1575 0.8425 0.8425
Cd 0.0000 0.3454 0.3454
Cd 0.6546 0.0000 0.3454
Cd 0.8425 0.1575 0.8425
Cd 0.2667 0.5000 0.2667
Cd 0.1575 0.1575 0.1575
La 0.0000 0.0000 0.5000
Cd 0.0000 0.6546 0.6546
Cd 0.2667 0.7333 0.5000
Cd 0.5000 0.2667 0.7333
Cd 0.5000 0.5000 0.5000
Cd 0.3454 0.6546 0.0000
Cd 0.0000 0.3454 0.6546
Cd 0.7333 0.2667 0.5000
Cd 0.8425 0.8425 0.8425
Cd 0.3454 0.0000 0.6546
Cd 0.8425 0.8425 0.1575
Cd 0.1575 0.8425 0.1575
Cd 0.2667 0.5000 0.7333
La 0.0000 0.5000 0.0000
Cd 0.5000 0.2667 0.2667
Cd 0.6546 0.3454 0.0000
Cd 0.6546 0.0000 0.6546
Cd 0.2667 0.2667 0.5000
Cd 0.5000 0.7333 0.2667

=====

3.
The following is a DFT calculation (meta-GGA r2SCAN) of a geometry-optimized LaCd structure.

- Total moment: 0.17 μB/atom
- DFT formation energy: -0.38 eV/atom

Lattice parameters (Å, degrees): 3.9323 3.9323 3.9323 90.00 90.00 90.00
Fractional coordinates of all 2 atoms:
La 0.5000 0.5000 0.5000
Cd 0.0000 0.0000 0.0000

=====

4.
The following is a DFT calculation (meta-GGA r2SCAN) of a geometry-optimized La2MgCd structure.

- Total moment: 0.00 μB/atom
- DFT formation energy: -0.24 eV/atom

Lattice parameters (Å, degrees): 5.5778 5.5778 5.5778 60.00 60.00 60.00
Fractional coordinates of all 4 atoms:
La 0.2500 0.2500 0.2500
Mg 0.0000 0.0000 0.0000
Cd 0.5000 0.5000 0.5000
La 0.7500 0.7500 0.7500

=====

5.
The following is a DFT calculation (meta-GGA r2SCAN) of a geometry-optimized La2CdNi2 structure.

- Total moment: 0.00 μB/atom
- DFT formation energy: -0.35 eV/atom

Lattice parameters (Å, degrees): 7.7307 7.7307 3.8402 90.00 90.00 149.97
Fractional coordinates of all 5 atoms:
Cd 0.0000 0.0000 0.0000
La 0.6373 0.3627 0.5000
La 0.3627 0.6373 0.5000
Ni 0.2033 0.7967 0.0000
Ni 0.7967 0.2033 0.0000

=====

6.
The following is a DFT calculation (meta-GGA r2SCAN) of a geometry-optimized LaCd2Pd structure.

- Total moment: 0.00 μB/atom
- DFT formation energy: -0.64 eV/atom

Lattice parameters (Å, degrees): 4.3470 5.5221 8.4372 90.00 90.00 113.18
Fractional coordinates of all 8 atoms:
Pd 0.7801 0.5603 0.7500
La 0.0639 0.1279 0.7500
Pd 0.2199 0.4397 0.2500
Cd 0.6455 0.2910 0.0494
Cd 0.3545 0.7090 0.9506
Cd 0.6455 0.2910 0.4506
Cd 0.3545 0.7090 0.5494
La 0.9361 0.8721 0.2500

=====

7.
The following is a DFT calculation (meta-GGA r2SCAN) of a geometry-optimized LaCdPd structure.

- Total moment: 0.00 μB/atom
- DFT formation energy: -0.73 eV/atom

Lattice parameters (Å, degrees): 7.7603 7.7603 4.1301 90.00 90.00 120.00
Fractional coordinates of all 9 atoms:
Pd 0.0000 0.0000 0.5000
Pd 0.6667 0.3333 0.0000
La 0.4084 0.4084 0.5000
Pd 0.3333 0.6667 0.0000
Cd 0.0000 0.2464 0.0000
La 0.5916 0.0000 0.5000
La 0.0000 0.5916 0.5000
Cd 0.2464 0.0000 0.0000
Cd 0.7536 0.7536 0.0000

=====

8.
The following is a DFT calculation (meta-GGA r2SCAN) of a geometry-optimized La4CdPt structure.

- Total moment: 0.00 μB/atom
- DFT formation energy: -0.62 eV/atom

Lattice parameters (Å, degrees): 10.1862 10.1863 10.1862 60.00 60.00 60.00
Fractional coordinates of all 24 atoms:
La 0.1874 0.1874 0.8126
La 0.0571 0.4429 0.0571
Cd 0.8289 0.8289 0.5132
Pt 0.3927 0.3926 0.8220
Pt 0.8221 0.3927 0.3926
Cd 0.8289 0.8289 0.8289
La 0.5994 0.2017 0.5994
Pt 0.3927 0.8221 0.3926
La 0.8126 0.1874 0.8126
Pt 0.3927 0.3926 0.3926
La 0.4429 0.0571 0.4429
La 0.5994 0.5994 0.2018
La 0.1874 0.8126 0.8125
La 0.2018 0.5994 0.5994
Cd 0.8289 0.5132 0.8289
La 0.1874 0.8126 0.1875
Cd 0.5132 0.8289 0.8289
La 0.8125 0.8125 0.1875
La 0.4429 0.4429 0.0571
La 0.0571 0.0571 0.4429
La 0.0571 0.4429 0.4429
La 0.4429 0.0571 0.0571
La 0.8125 0.1874 0.1875
La 0.5994 0.5994 0.5994

=====

9.
The following is a DFT calculation (meta-GGA r2SCAN) of a geometry-optimized LaTlCd structure.

- Total moment: 0.04 μB/atom
- DFT formation energy: -0.47 eV/atom

Lattice parameters (Å, degrees): 4.9991 4.9981 7.8639 90.00 90.00 120.01
Fractional coordinates of all 6 atoms:
Tl 0.6667 0.3334 0.2500
La 0.0000 0.0000 0.0000
Tl 0.3333 0.6666 0.7500
La 0.0000 0.0000 0.5000
Cd 0.3333 0.6666 0.2500
Cd 0.6667 0.3334 0.7500

=====

10.
The following is a DFT calculation (meta-GGA r2SCAN) of a geometry-optimized LaYbCd2 structure.

- Total moment: 0.00 μB/atom
- DFT formation energy: -0.36 eV/atom

Lattice parameters (Å, degrees): 5.3837 5.3837 5.3837 60.00 60.00 60.00
Fractional coordinates of all 4 atoms:
La 0.0000 0.0000 0.0000
Cd 0.7500 0.7500 0.7500
Yb 0.5000 0.5000 0.5000
Cd 0.2500 0.2500 0.2500

=====

11.
The following is a DFT calculation (meta-GGA r2SCAN) of a geometry-optimized LiCd3 structure.

- Total moment: 0.00 μB/atom
- DFT formation energy: -0.18 eV/atom

Lattice parameters (Å, degrees): 4.8037 4.8037 4.8037 60.00 60.00 60.00
Fractional coordinates of all 4 atoms:
Cd 0.5000 0.5000 0.5000
Cd 0.2500 0.2500 0.2500
Cd 0.0000 0.0000 0.0000
Li 0.7500 0.7500 0.7500

=====

12.
The following is a DFT calculation (meta-GGA r2SCAN) of a geometry-optimized LiCd3 structure.

- Total moment: 0.00 μB/atom
- DFT formation energy: -0.19 eV/atom

Lattice parameters (Å, degrees): 6.1101 6.1101 4.8492 90.00 90.00 120.00
Fractional coordinates of all 8 atoms:
Li 0.6667 0.3333 0.2500
Cd 0.3398 0.1699 0.7500
Cd 0.6602 0.8301 0.2500
Cd 0.8301 0.6602 0.7500
Cd 0.1699 0.3398 0.2500
Cd 0.1699 0.8301 0.2500
Cd 0.8301 0.1699 0.7500
Li 0.3333 0.6667 0.7500

=====

- Among the records above, which one has the lowest DFT formation energy?
  LaCdPd